# ScSn2

ScSn2 after structural relaxation (meta-GGA r2SCAN, Materials Project).

Output
Energy of formation from the pure elements: -1.42 eV per formula unit
V: 282 Å³/cell
ρ: 6.641 Mg/m³

Unit cell a=15.9010 b=15.9010 c=15.9010 alpha=164.63 beta=164.63 gamma=21.80
Last column: nearest neighbours and their distance in Å.
Positions (direct):
Sc (0.0488, 0.2988, 0.7500)  10 Sn 3.05-3.32
Sc (0.2988, 0.0488, 0.2500)  10 Sn 3.05-3.32
Sc (0.7012, 0.9512, 0.7500)  10 Sn 3.05-3.32
Sc (0.9512, 0.7012, 0.2500)  10 Sn 3.05-3.32
Sn (0.1250, 0.8750, 0.2500)  4 Sn 3.01, 4 Sc 3.19
Sn (0.2173, 0.4673, 0.7500)  2 Sn 2.95, 4 Sc 3.05
Sn (0.3750, 0.6250, 0.7500)  4 Sn 3.01, 4 Sc 3.19
Sn (0.4673, 0.2173, 0.2500)  2 Sn 2.95, 4 Sc 3.05
Sn (0.5327, 0.7827, 0.7500)  2 Sn 2.95, 4 Sc 3.05
Sn (0.6250, 0.3750, 0.2500)  4 Sn 3.01, 4 Sc 3.19
Sn (0.7827, 0.5327, 0.2500)  2 Sn 2.95, 4 Sc 3.05
Sn (0.8750, 0.1250, 0.7500)  4 Sn 3.01, 4 Sc 3.19

# Nd2Sb

Nd2Sb after structural relaxation (meta-GGA r2SCAN, Materials Project).

Output
Energy of formation from the pure elements: -3.04 eV per formula unit
V: 186 Å³/cell
ρ: 7.325 Mg/m³

Unit cell a=9.4919 b=9.4919 c=9.4919 alpha=152.17 beta=152.17 gamma=39.76
Last column: nearest neighbours and their distance in Å.
Positions (direct):
Nd (0.0000, 0.5000, 0.5000)  4 Nd 3.23, 4 Sb 3.36
Nd (0.1798, 0.1798, 0.0000)  5 Sb 3.25-3.31
Nd (0.5000, 0.0000, 0.5000)  4 Nd 3.23, 4 Sb 3.36
Nd (0.8202, 0.8202, 0.0000)  5 Sb 3.25-3.31
Sb (0.3621, 0.3621, 0.0000)  9 Nd 3.25-3.36
Sb (0.6379, 0.6379, 0.0000)  9 Nd 3.25-3.36

# Li2FeF4

Li2FeF4 after structural relaxation (meta-GGA r2SCAN, Materials Project).

Output
Energy of formation from the pure elements: -19.58 eV per formula unit
V: 283 Å³/cell
ρ: 3.421 Mg/m³

Unit cell a=5.8817 b=5.8817 c=8.1795 alpha=90.00 beta=90.00 gamma=90.00
Last column: nearest neighbours and their distance in Å.
Positions (direct):
Li (0.0000, 0.2444, 0.0000)  6 F 1.93-2.07
Li (0.0000, 0.7556, 0.5000)  6 F 1.93-2.07
Li (0.2260, 0.2260, 0.3750)  4 F 1.87
Li (0.2260, 0.7740, 0.1250)  4 F 1.87
Li (0.2444, 0.0000, 0.7500)  6 F 1.93-2.07
Li (0.7556, 0.0000, 0.2500)  6 F 1.93-2.07
Li (0.7740, 0.2260, 0.6250)  4 F 1.87
Li (0.7740, 0.7740, 0.8750)  4 F 1.87
Fe (0.2698, 0.5000, 0.7500)  6 F 2.03-2.12
Fe (0.5000, 0.2698, 0.0000)  6 F 2.03-2.12
Fe (0.5000, 0.7302, 0.5000)  6 F 2.03-2.12
Fe (0.7302, 0.5000, 0.2500)  6 F 2.03-2.12
F (0.0319, 0.2509, 0.7565)  3 Li 1.87-2.00, 1 Fe 2.03
F (0.0319, 0.7491, 0.7435)  3 Li 1.87-2.00, 1 Fe 2.03
F (0.2417, 0.4992, 0.4919)  2 Li 1.87-2.07, 1 Fe 2.04
F (0.2417, 0.5008, 0.0081)  2 Li 1.87-2.07, 1 Fe 2.04
F (0.2509, 0.0319, 0.9935)  3 Li 1.87-2.00, 1 Fe 2.03
F (0.2509, 0.9681, 0.5065)  3 Li 1.87-2.00, 1 Fe 2.03
F (0.4992, 0.2417, 0.2581)  2 Li 1.87-2.07, 1 Fe 2.04
F (0.4992, 0.7583, 0.2419)  2 Li 1.87-2.07, 1 Fe 2.04
F (0.5008, 0.2417, 0.7419)  2 Li 1.87-2.07, 1 Fe 2.04
F (0.5008, 0.7583, 0.7581)  2 Li 1.87-2.07, 1 Fe 2.04
F (0.7491, 0.0319, 0.0065)  3 Li 1.87-2.00, 1 Fe 2.03
F (0.7491, 0.9681, 0.4935)  3 Li 1.87-2.00, 1 Fe 2.03
F (0.7583, 0.4992, 0.5081)  2 Li 1.87-2.07, 1 Fe 2.04
F (0.7583, 0.5008, 0.9919)  2 Li 1.87-2.07, 1 Fe 2.04
F (0.9681, 0.2509, 0.2435)  3 Li 1.87-2.00, 1 Fe 2.03
F (0.9681, 0.7491, 0.2565)  3 Li 1.87-2.00, 1 Fe 2.03

# Sm2SO2

Sm2SO2 after structural relaxation (meta-GGA r2SCAN, Materials Project).

Output
Energy of formation from the pure elements: -17.28 eV per formula unit
V: 89 Å³/cell
ρ: 6.818 Mg/m³

Unit cell a=3.9031 b=3.9031 c=6.7335 alpha=90.00 beta=90.00 gamma=120.00
Last column: nearest neighbours and their distance in Å.
Positions (direct):
Sm (0.3333, 0.6667, 0.2814)  4 O 2.33-2.34
Sm (0.6667, 0.3333, 0.7186)  4 O 2.33-2.34
S (0.0000, 0.0000, 0.0000)  6 Sm 2.94
O (0.3333, 0.6667, 0.6293)  4 Sm 2.33-2.34
O (0.6667, 0.3333, 0.3707)  4 Sm 2.33-2.34

# CsPbCl3

CsPbCl3 after structural relaxation (meta-GGA r2SCAN, Materials Project).

Output
Energy of formation from the pure elements: -8.40 eV per formula unit
V: 183 Å³/cell
ρ: 4.046 Mg/m³

Unit cell a=5.6798 b=5.6798 c=5.6798 alpha=90.00 beta=90.00 gamma=90.00
Last column: nearest neighbours and their distance in Å.
Positions (direct):
Cs (0.0000, 0.0000, 0.0000)  12 Cl 4.02
Pb (0.5000, 0.5000, 0.5000)  6 Cl 2.84
Cl (0.0000, 0.5000, 0.5000)  2 Pb 2.84
Cl (0.5000, 0.0000, 0.5000)  2 Pb 2.84
Cl (0.5000, 0.5000, 0.0000)  2 Pb 2.84

# Ca9Cd4Bi9

Ca9Cd4Bi9 after structural relaxation (meta-GGA r2SCAN, Materials Project).

Output
Energy of formation from the pure elements: -17.50 eV per formula unit
V: 1386 Å³/cell
ρ: 6.447 Mg/m³

Unit cell a=12.8497 b=22.6735 c=4.7583 alpha=90.00 beta=90.00 gamma=90.00
Last column: nearest neighbours and their distance in Å.
Positions (direct):
Ca (0.0000, 0.0000, 0.0000)  6 Bi 3.32-3.35, 2 Cd 3.62
Ca (0.0670, 0.4109, 0.5000)  5 Bi 3.24-3.38, 2 Cd 3.32
Ca (0.1249, 0.2339, 0.5000)  6 Bi 3.29-3.60
Ca (0.1322, 0.8641, 0.5000)  5 Bi 3.30-3.45, 4 Cd 3.36-3.58
Ca (0.2087, 0.6006, 0.0000)  6 Bi 3.29-3.52, 1 Cd 3.35
Ca (0.2913, 0.1006, 0.0000)  6 Bi 3.29-3.52, 1 Cd 3.35
Ca (0.3678, 0.3641, 0.5000)  5 Bi 3.30-3.45, 4 Cd 3.36-3.58
Ca (0.3751, 0.7339, 0.5000)  6 Bi 3.29-3.60
Ca (0.4330, 0.9109, 0.5000)  5 Bi 3.24-3.38, 2 Cd 3.32
Ca (0.5000, 0.5000, 0.0000)  6 Bi 3.32-3.35, 2 Cd 3.62
Ca (0.5670, 0.0891, 0.5000)  5 Bi 3.24-3.38, 2 Cd 3.32
Ca (0.6249, 0.2661, 0.5000)  6 Bi 3.29-3.60
Ca (0.6322, 0.6359, 0.5000)  5 Bi 3.30-3.45, 4 Cd 3.36-3.58
Ca (0.7087, 0.8994, 0.0000)  6 Bi 3.29-3.52, 1 Cd 3.35
Ca (0.7913, 0.3994, 0.0000)  6 Bi 3.29-3.52, 1 Cd 3.35
Ca (0.8678, 0.1359, 0.5000)  5 Bi 3.30-3.45, 4 Cd 3.36-3.58
Ca (0.8751, 0.7661, 0.5000)  6 Bi 3.29-3.60
Ca (0.9330, 0.5891, 0.5000)  5 Bi 3.24-3.38, 2 Cd 3.32
Cd (0.1136, 0.7602, 0.0000)  4 Bi 2.91-3.02
Cd (0.2308, 0.4533, 0.0000)  4 Bi 2.90-3.15
Cd (0.2692, 0.9533, 0.0000)  4 Bi 2.90-3.15
Cd (0.3864, 0.2602, 0.0000)  4 Bi 2.91-3.02
Cd (0.6136, 0.7398, 0.0000)  4 Bi 2.91-3.02
Cd (0.7308, 0.0467, 0.0000)  4 Bi 2.90-3.15
Cd (0.7692, 0.5467, 0.0000)  4 Bi 2.90-3.15
Cd (0.8864, 0.2398, 0.0000)  4 Bi 2.91-3.02
Bi (0.0000, 0.5000, 0.0000)  2 Cd 3.15, 6 Ca 3.24-3.52
Bi (0.0451, 0.1442, 0.0000)  1 Cd 2.98, 6 Ca 3.29-3.32
Bi (0.1182, 0.6867, 0.5000)  2 Cd 2.91, 1 Ca 3.25
Bi (0.1824, 0.0114, 0.5000)  2 Cd 2.94
Bi (0.1844, 0.3283, 0.0000)  2 Cd 2.90-3.02
Bi (0.3156, 0.8283, 0.0000)  2 Cd 2.90-3.02
Bi (0.3176, 0.5114, 0.5000)  2 Cd 2.94
Bi (0.3818, 0.1867, 0.5000)  2 Cd 2.91, 1 Ca 3.25
Bi (0.4549, 0.6442, 0.0000)  1 Cd 2.98, 6 Ca 3.29-3.32
Bi (0.5000, 0.0000, 0.0000)  2 Cd 3.15, 6 Ca 3.24-3.52
Bi (0.5451, 0.3558, 0.0000)  1 Cd 2.98, 6 Ca 3.29-3.32
Bi (0.6182, 0.8133, 0.5000)  2 Cd 2.91, 1 Ca 3.25
Bi (0.6824, 0.4886, 0.5000)  2 Cd 2.94
Bi (0.6844, 0.1717, 0.0000)  2 Cd 2.90-3.02
Bi (0.8156, 0.6717, 0.0000)  2 Cd 2.90-3.02
Bi (0.8176, 0.9886, 0.5000)  2 Cd 2.94
Bi (0.8818, 0.3133, 0.5000)  2 Cd 2.91, 1 Ca 3.25
Bi (0.9549, 0.8558, 0.0000)  1 Cd 2.98, 6 Ca 3.29-3.32

# Cr3S4

Cr3S4 after structural relaxation (meta-GGA r2SCAN, Materials Project).

Output
Energy of formation from the pure elements: -6.95 eV per formula unit
V: 242 Å³/cell
ρ: 3.900 Mg/m³

Unit cell a=3.4901 b=6.0734 c=11.4240 alpha=88.54 beta=90.00 gamma=90.00
Last column: nearest neighbours and their distance in Å.
Positions (direct):
S (0.0000, 0.3235, 0.1267)  4 Cr 2.37-2.47
S (0.5000, 0.8234, 0.6267)  4 Cr 2.37-2.47
Cr (0.0000, 0.0000, 0.0000)  6 S 2.47-2.50
Cr (0.5000, 0.5154, 0.7636)  6 S 2.37-2.51
S (0.0000, 0.6765, 0.8733)  4 Cr 2.37-2.47
S (0.0000, 0.6534, 0.3643)  5 Cr 2.46-2.51
S (0.5000, 0.8467, 0.1357)  5 Cr 2.46-2.51
Cr (0.0000, 0.9846, 0.7364)  6 S 2.37-2.51
Cr (0.5000, 0.5000, 0.5000)  6 S 2.47-2.50
S (0.5000, 0.1533, 0.8643)  5 Cr 2.46-2.51
S (0.5000, 0.1766, 0.3733)  4 Cr 2.37-2.47
S (0.0000, 0.3467, 0.6357)  5 Cr 2.46-2.51
Cr (0.0000, 0.0154, 0.2636)  6 S 2.37-2.51
Cr (0.5000, 0.4846, 0.2364)  6 S 2.37-2.51

# W2SeS3

W2SeS3 after structural relaxation (meta-GGA r2SCAN, Materials Project).

Output
Energy of formation from the pure elements: -4.80 eV per formula unit
V: 315 Å³/cell
ρ: 5.720 Mg/m³

Unit cell a=3.2151 b=3.2151 c=35.2071 alpha=90.00 beta=90.00 gamma=120.00
Last column: nearest neighbours and their distance in Å.
Positions (direct):
W (0.0000, 0.0000, 0.0000)  6 S 2.42
W (0.0000, 0.0000, 0.3759)  6 Se 2.52
W (0.3333, 0.6667, 0.1861)  6 S 2.42
W (0.3333, 0.6667, 0.5655)  6 S 2.42
Se (0.3333, 0.6667, 0.3276)  3 W 2.52
Se (0.3333, 0.6667, 0.4243)  3 W 2.52
S (0.0000, 0.0000, 0.1421)  3 W 2.42
S (0.0000, 0.0000, 0.2301)  3 W 2.42
S (0.0000, 0.0000, 0.5215)  3 W 2.42
S (0.0000, 0.0000, 0.6095)  3 W 2.42
S (0.3333, 0.6667, 0.0440)  3 W 2.42
S (0.3333, 0.6667, 0.9560)  3 W 2.42